This record from Materials Project describes MgTe2MoW2Se2S2 after structural relaxation. The functional is PBE.

Summary:
Its theoretical density is 4.3 Mg/m³. The formation energy is -496 meV per atom. For the volume, the calculation gives 36.9 Å³/atom.

abc: 3.338 3.338 38.272
angles: 90.00 90.00 120.00
Sites, in units of the cell vectors:
W: 0.667 0.333 0.339
W: 0.333 0.667 0.586
Se: 0.667 0.333 0.542
Se: 0.667 0.333 0.630
S: 0.333 0.667 0.299
S: 0.333 0.667 0.379
Mo: 0.333 0.667 0.116
Te: 0.667 0.333 0.165
Te: 0.667 0.333 0.066
Mg: 0.000 0.000 0.458

---

This record from Materials Project describes Nd5Si3B after structural relaxation. The functional is PBE.

Summary:
Its theoretical density is 5.9 Mg/m³. The formation energy is -393 meV per atom. For the volume, the calculation gives 25.4 Å³/atom.

abc: 8.904 8.904 6.672
angles: 90.00 90.00 120.00
Sites, in units of the cell vectors:
Nd: 0.239 0.000 0.750
Nd: 0.000 0.761 0.250
Nd: 0.667 0.333 0.500
Nd: 0.667 0.333 0.000
Nd: 0.239 0.239 0.250
Nd: 0.333 0.667 0.000
Nd: 0.333 0.667 0.500
Nd: 0.761 0.000 0.250
Nd: 0.761 0.761 0.750
Nd: 0.000 0.239 0.750
Si: 0.000 0.402 0.250
Si: 0.598 0.598 0.250
Si: 0.000 0.598 0.750
Si: 0.402 0.000 0.250
Si: 0.598 0.000 0.750
Si: 0.402 0.402 0.750
B: 0.000 0.000 0.000
B: 0.000 0.000 0.500

---

This record from Materials Project describes Ga2O3 after structural relaxation. The functional is PBE.

Summary:
Its theoretical density is 6.5 Mg/m³. The formation energy is -1985 meV per atom. For the volume, the calculation gives 9.6 Å³/atom.

abc: 4.904 4.904 7.284
angles: 90.00 90.00 146.58
Sites, in units of the cell vectors:
O: 0.363 0.637 0.575
O: 0.893 0.107 0.250
O: 0.637 0.363 0.425
O: 0.107 0.893 0.750
O: 0.363 0.637 0.925
O: 0.637 0.363 0.075
Ga: 0.248 0.752 0.250
Ga: 0.752 0.248 0.750
Ga: 0.000 0.000 0.000
Ga: 0.000 0.000 0.500